Record 1
Material: Fe3O4
Method: DFT, PBE with a Hubbard U
State: optimized geometry

Cell: 2.959 9.802 10.002 Å, 90.00 90.00 90.00°
Fractional positions:
Fe: 0.232 0.133 0.250
Fe: 0.232 0.367 0.750
Fe: 0.256 0.618 0.575
Fe: 0.256 0.618 0.925
Fe: 0.256 0.882 0.075
Fe: 0.256 0.882 0.425
Fe: 0.744 0.118 0.575
Fe: 0.744 0.118 0.925
Fe: 0.744 0.382 0.075
Fe: 0.744 0.382 0.425
Fe: 0.768 0.633 0.250
Fe: 0.768 0.867 0.750
O: 0.243 0.250 0.000
O: 0.243 0.250 0.500
O: 0.247 0.521 0.112
O: 0.247 0.521 0.388
O: 0.247 0.979 0.612
O: 0.247 0.979 0.888
O: 0.269 0.711 0.750
O: 0.269 0.789 0.250
O: 0.731 0.211 0.750
O: 0.731 0.289 0.250
O: 0.753 0.021 0.112
O: 0.753 0.021 0.388
O: 0.753 0.479 0.612
O: 0.753 0.479 0.888
O: 0.757 0.750 0.000
O: 0.757 0.750 0.500

Output
SG   Pbcm
Energy of formation from the pure elements   -35.43 kcal/mol of atoms
Crystal system   orthorhombic
Total magnetization   2.000 μB/atom

---

Record 2
Material: Fe3O4
Method: DFT, PBE with a Hubbard U
State: optimized geometry

Cell: 6.097 6.045 8.576 Å, 90.00 90.00 90.00°
Fractional positions:
Fe: 0.000 0.000 0.000
Fe: 0.000 0.500 0.500
Fe: 0.250 0.000 0.373
Fe: 0.250 0.258 0.746
Fe: 0.250 0.500 0.122
Fe: 0.250 0.742 0.746
Fe: 0.500 0.000 0.000
Fe: 0.500 0.500 0.500
Fe: 0.750 0.000 0.627
Fe: 0.750 0.258 0.254
Fe: 0.750 0.500 0.878
Fe: 0.750 0.742 0.254
O: 0.009 0.000 0.763
O: 0.010 0.500 0.754
O: 0.250 0.230 0.993
O: 0.250 0.252 0.508
O: 0.250 0.748 0.508
O: 0.250 0.770 0.993
O: 0.490 0.500 0.754
O: 0.491 0.000 0.763
O: 0.509 0.000 0.237
O: 0.510 0.500 0.246
O: 0.750 0.230 0.007
O: 0.750 0.252 0.492
O: 0.750 0.748 0.492
O: 0.750 0.770 0.007
O: 0.990 0.500 0.246
O: 0.991 0.000 0.237

Output
SG   Pmma
Energy of formation from the pure elements   -36.21 kcal/mol of atoms
Crystal system   orthorhombic
Total magnetization   2.000 μB/atom

---

Record 3
Material: Fe3O4
Method: DFT, PBE with a Hubbard U
State: optimized geometry

Cell: 6.042 6.072 10.494 Å, 106.75 90.12 119.63°
Fractional positions:
Fe: 0.000 0.000 0.000
Fe: 0.000 0.001 0.502
Fe: 0.003 0.506 0.504
Fe: 0.062 0.618 0.188
Fe: 0.251 0.000 0.749
Fe: 0.437 0.380 0.313
Fe: 0.498 0.496 0.999
Fe: 0.499 0.000 0.000
Fe: 0.499 0.000 0.502
Fe: 0.562 0.618 0.688
Fe: 0.748 0.001 0.254
Fe: 0.939 0.383 0.813
O: 0.106 0.247 0.372
O: 0.114 0.741 0.380
O: 0.126 0.771 0.884
O: 0.130 0.254 0.889
O: 0.359 0.736 0.619
O: 0.362 0.250 0.116
O: 0.370 0.238 0.625
O: 0.396 0.751 0.128
O: 0.621 0.264 0.884
O: 0.631 0.763 0.369
O: 0.637 0.751 0.887
O: 0.642 0.249 0.371
O: 0.866 0.760 0.123
O: 0.871 0.228 0.125
O: 0.879 0.738 0.618
O: 0.885 0.258 0.620

Output
SG   P1
Energy of formation from the pure elements   -36.51 kcal/mol of atoms
Crystal system   triclinic
Total magnetization   2.000 μB/atom

---

Record 4
Material: Fe3O4
Method: DFT, PBE with a Hubbard U
State: optimized geometry

Cell: 6.008 6.008 5.050 Å, 102.97 102.97 59.57°
Fractional positions:
Fe: 0.000 0.000 0.000
Fe: 0.249 0.249 0.495
Fe: 0.249 0.751 0.500
Fe: 0.500 0.500 0.000
Fe: 0.751 0.249 0.500
Fe: 0.751 0.751 0.505
O: 0.103 0.103 0.707
O: 0.140 0.642 0.761
O: 0.358 0.860 0.239
O: 0.396 0.396 0.293
O: 0.604 0.604 0.707
O: 0.642 0.140 0.761
O: 0.860 0.358 0.239
O: 0.897 0.897 0.293

Output
SG   C2/m
Energy of formation from the pure elements   -27.14 kcal/mol of atoms
Crystal system   monoclinic
Total magnetization   0.571 μB/atom

---

Record 5
Material: Fe12O13
Method: DFT, PBE with a Hubbard U
State: optimized geometry

Cell: 6.875 6.875 6.875 Å, 107.39 107.39 107.39°
Fractional positions:
Fe: 0.042 0.123 0.348
Fe: 0.123 0.348 0.042
Fe: 0.209 0.573 0.731
Fe: 0.269 0.791 0.427
Fe: 0.348 0.042 0.123
Fe: 0.427 0.269 0.791
Fe: 0.573 0.731 0.209
Fe: 0.652 0.958 0.877
Fe: 0.731 0.209 0.573
Fe: 0.791 0.427 0.269
Fe: 0.877 0.652 0.958
Fe: 0.958 0.877 0.652
O: 0.000 0.000 0.000
O: 0.075 0.220 0.690
O: 0.126 0.453 0.371
O: 0.220 0.690 0.075
O: 0.310 0.925 0.780
O: 0.371 0.126 0.453
O: 0.453 0.371 0.126
O: 0.547 0.629 0.874
O: 0.629 0.874 0.547
O: 0.690 0.075 0.220
O: 0.780 0.310 0.925
O: 0.874 0.547 0.629
O: 0.925 0.780 0.310

Output
SG   R-3
Energy of formation from the pure elements   -33.30 kcal/mol of atoms
Crystal system   trigonal
Total magnetization   2.000 μB/atom

---

Record 6
Material: Fe7O8
Method: DFT, PBE with a Hubbard U
State: optimized geometry

Cell: 6.134 6.134 6.134 Å, 60.00 60.00 60.00°
Fractional positions:
Fe: 0.000 0.000 0.000
Fe: 0.000 0.000 0.500
Fe: 0.000 0.500 0.000
Fe: 0.000 0.500 0.500
Fe: 0.500 0.000 0.000
Fe: 0.500 0.000 0.500
Fe: 0.500 0.500 0.000
O: 0.236 0.236 0.764
O: 0.236 0.764 0.236
O: 0.236 0.764 0.764
O: 0.250 0.250 0.250
O: 0.750 0.750 0.750
O: 0.764 0.236 0.236
O: 0.764 0.236 0.764
O: 0.764 0.764 0.236

Output
SG   Fm-3m
Energy above the most stable polymorph in this dataset   35 meV per atom
Energy of formation from the pure elements   -33.64 kcal/mol of atoms
Crystal system   cubic
Total magnetization   1.199 μB/atom

---

Record 7
Material: FeO
Method: DFT, PBE with a Hubbard U
State: optimized geometry

Cell: 3.155 5.350 5.353 Å, 100.13 106.31 90.55°
Fractional positions:
Fe: 0.000 0.000 0.000
Fe: 0.246 0.750 0.499
Fe: 0.502 0.500 0.000
Fe: 0.753 0.249 0.502
O: 0.140 0.392 0.250
O: 0.377 0.104 0.753
O: 0.623 0.893 0.248
O: 0.862 0.605 0.751

Output
SG   P1
Energy of formation from the pure elements   -33.89 kcal/mol of atoms
Crystal system   triclinic
Total magnetization   0.000 μB/atom

---

Record 8
Material: FeO
Method: DFT, PBE with a Hubbard U
State: optimized geometry

Cell: 4.347 5.453 4.348 Å, 113.54 90.06 66.47°
Fractional positions:
Fe: 0.750 0.500 0.750
Fe: 0.000 0.000 0.000
Fe: 0.250 0.500 0.250
Fe: 0.500 0.000 0.500
O: 0.750 0.500 0.250
O: 0.250 0.500 0.750
O: 0.000 0.000 0.500
O: 0.500 0.000 0.000

Output
Energy of formation from the pure elements   -24.71 kcal/mol of atoms

---

Record 9
Material: Fe4O13
Method: DFT, PBE with a Hubbard U
State: optimized geometry

Cell: 6.350 6.350 6.348 Å, 119.16 119.16 74.42°
Fractional positions:
Fe: 0.000 0.500 0.000
Fe: 0.000 0.500 0.500
Fe: 0.500 0.000 0.000
Fe: 0.500 0.000 0.500
O: 0.000 0.000 0.000
O: 0.159 0.516 0.835
O: 0.196 0.802 0.607
O: 0.198 0.804 0.393
O: 0.292 0.292 0.181
O: 0.293 0.293 0.400
O: 0.484 0.841 0.165
O: 0.516 0.159 0.835
O: 0.707 0.707 0.600
O: 0.708 0.708 0.819
O: 0.802 0.196 0.607
O: 0.804 0.198 0.393
O: 0.841 0.484 0.165

Output
SG   C2/m
Energy above the most stable polymorph in this dataset   19 meV per atom
Energy of formation from the pure elements   -7.16 kcal/mol of atoms
Crystal system   monoclinic
Total magnetization   0.941 μB/atom

---

Record 10
Material: Fe3O4
Method: DFT, PBE with a Hubbard U
State: optimized geometry

Cell: 6.051 6.063 10.460 Å, 106.29 90.15 119.82°
Fractional positions:
Fe: 0.000 0.000 0.000
Fe: 0.001 0.000 0.502
Fe: 0.063 0.617 0.688
Fe: 0.251 0.997 0.248
Fe: 0.440 0.383 0.814
Fe: 0.501 0.999 0.502
Fe: 0.502 0.000 0.000
Fe: 0.502 0.503 0.503
Fe: 0.564 0.620 0.189
Fe: 0.751 0.002 0.752
Fe: 0.939 0.383 0.314
Fe: 0.998 0.494 0.998
O: 0.121 0.740 0.881
O: 0.122 0.262 0.883
O: 0.124 0.769 0.377
O: 0.137 0.241 0.379
O: 0.360 0.752 0.131
O: 0.364 0.248 0.615
O: 0.369 0.236 0.133
O: 0.381 0.741 0.615
O: 0.604 0.244 0.377
O: 0.632 0.763 0.877
O: 0.639 0.751 0.385
O: 0.641 0.263 0.882
O: 0.868 0.745 0.613
O: 0.881 0.234 0.618
O: 0.881 0.262 0.123
O: 0.896 0.753 0.129

Output
SG   P1
Energy of formation from the pure elements   -37.27 kcal/mol of atoms
Crystal system   triclinic
Total magnetization   1.000 μB/atom

---

Record 11
Material: Fe3O4
Method: DFT, PBE with a Hubbard U
State: optimized geometry

Cell: 6.078 6.090 17.209 Å, 90.14 90.01 90.07°
Fractional positions:
Fe: 0.000 0.000 0.000
Fe: 0.000 0.495 0.001
Fe: 0.000 0.999 0.499
Fe: 0.001 0.497 0.498
Fe: 0.002 0.248 0.814
Fe: 0.007 0.754 0.685
Fe: 0.248 0.250 0.124
Fe: 0.249 0.249 0.624
Fe: 0.249 0.748 0.372
Fe: 0.249 0.749 0.876
Fe: 0.495 0.003 0.246
Fe: 0.495 0.498 0.249
Fe: 0.496 0.748 0.561
Fe: 0.499 0.742 0.062
Fe: 0.500 0.253 0.936
Fe: 0.504 0.499 0.749
Fe: 0.505 0.000 0.750
Fe: 0.505 0.247 0.434
Fe: 0.747 0.251 0.124
Fe: 0.747 0.748 0.372
Fe: 0.749 0.250 0.623
Fe: 0.755 0.749 0.876
Fe: 0.993 0.244 0.313
Fe: 0.998 0.757 0.186
O: 0.001 0.527 0.879
O: 0.003 0.968 0.876
O: 0.012 0.478 0.614
O: 0.013 0.015 0.614
O: 0.231 0.748 0.497
O: 0.239 0.248 0.500
O: 0.239 0.260 0.997
O: 0.244 0.739 0.994
O: 0.257 0.239 0.253
O: 0.258 0.759 0.251
O: 0.277 0.248 0.741
O: 0.279 0.750 0.758
O: 0.490 0.493 0.627
O: 0.494 0.006 0.627
O: 0.497 0.488 0.126
O: 0.499 0.996 0.129
O: 0.501 0.514 0.869
O: 0.502 0.985 0.870
O: 0.509 0.513 0.376
O: 0.510 0.986 0.371
O: 0.723 0.251 0.746
O: 0.729 0.749 0.756
O: 0.733 0.240 0.251
O: 0.740 0.758 0.256
O: 0.755 0.738 0.993
O: 0.761 0.259 0.996
O: 0.767 0.748 0.497
O: 0.769 0.246 0.499
O: 0.988 0.507 0.380
O: 0.989 0.986 0.382
O: 0.998 0.012 0.121
O: 0.998 0.505 0.118

Output
SG   P1
Energy of formation from the pure elements   -36.73 kcal/mol of atoms
Crystal system   triclinic
Total magnetization   2.000 μB/atom

---

Record 12
Material: Fe8O17
Method: DFT, PBE with a Hubbard U
State: optimized geometry

Cell: 5.883 10.133 10.441 Å, 90.97 90.07 90.02°
Fractional positions:
Fe: 0.000 0.000 0.000
Fe: 0.000 0.155 0.508
Fe: 0.000 0.491 0.217
Fe: 0.000 0.653 0.730
Fe: 0.244 0.970 0.691
Fe: 0.246 0.170 0.201
Fe: 0.249 0.682 0.040
Fe: 0.250 0.483 0.529
Fe: 0.499 0.488 0.216
Fe: 0.500 0.652 0.730
Fe: 0.500 0.996 0.993
Fe: 0.504 0.004 0.393
Fe: 0.749 0.483 0.529
Fe: 0.751 0.682 0.040
Fe: 0.752 0.171 0.200
Fe: 0.753 0.969 0.690
O: 0.000 0.357 0.522
O: 0.000 0.605 0.538
O: 0.000 0.690 0.161
O: 0.001 0.041 0.183
O: 0.003 0.292 0.207
O: 0.198 0.155 0.650
O: 0.247 0.126 0.391
O: 0.249 0.492 0.096
O: 0.251 0.497 0.336
O: 0.252 0.529 0.726
O: 0.252 0.875 0.012
O: 0.253 0.777 0.717
O: 0.256 0.121 0.006
O: 0.345 0.847 0.361
O: 0.496 0.042 0.205
O: 0.496 0.291 0.202
O: 0.498 0.963 0.569
O: 0.499 0.609 0.536
O: 0.499 0.690 0.159
O: 0.500 0.370 0.534
O: 0.500 0.658 0.921
O: 0.500 0.998 0.804
O: 0.681 0.855 0.359
O: 0.742 0.122 0.007
O: 0.746 0.777 0.717
O: 0.748 0.529 0.725
O: 0.748 0.875 0.013
O: 0.749 0.497 0.336
O: 0.750 0.491 0.097
O: 0.754 0.131 0.390
O: 0.799 0.154 0.649
O: 0.997 0.949 0.571
O: 0.999 0.659 0.921
O: 0.999 0.985 0.817

Output
SG   P1
Energy of formation from the pure elements   -25.72 kcal/mol of atoms
Crystal system   triclinic
Total magnetization   1.240 μB/atom

---

Record 13
Material: Fe3O4
Method: DFT, PBE with a Hubbard U
State: optimized geometry

Cell: 9.993 2.933 9.868 Å, 90.00 90.03 90.00°
Fractional positions:
Fe: 0.000 0.228 0.000
Fe: 0.000 0.772 0.500
Fe: 0.163 0.261 0.255
Fe: 0.163 0.739 0.755
Fe: 0.312 0.252 0.515
Fe: 0.312 0.748 0.015
Fe: 0.476 0.240 0.763
Fe: 0.476 0.760 0.263
Fe: 0.666 0.251 0.511
Fe: 0.666 0.749 0.011
Fe: 0.813 0.261 0.249
Fe: 0.813 0.739 0.749
O: 0.125 0.243 0.615
O: 0.125 0.757 0.115
O: 0.232 0.241 0.878
O: 0.232 0.759 0.378
O: 0.360 0.257 0.172
O: 0.360 0.743 0.672
O: 0.491 0.259 0.407
O: 0.491 0.741 0.907
O: 0.619 0.254 0.152
O: 0.619 0.746 0.652
O: 0.733 0.244 0.881
O: 0.733 0.756 0.381
O: 0.847 0.240 0.611
O: 0.847 0.760 0.111
O: 0.983 0.275 0.345
O: 0.983 0.725 0.845

Output
SG   Pc
Energy of formation from the pure elements   -34.88 kcal/mol of atoms
Crystal system   monoclinic
Total magnetization   2.000 μB/atom